No. 1
VASP calculation (PBE) on a relaxed NaLi2Sn crystal.

Computed properties:
Space group = Immm, No. 71
Calculated volume = 25.59 Å³/atom
Formation enthalpy at 0 K = 1 kJ/mol of atoms
Energy = -2.2748 eV per atom
Crystal system = orthorhombic

Unit cell a=6.475 b=6.475 c=6.475 alpha=149.09 beta=132.31 gamma=57.92
Element x y z (fractional)
Na 0.000 0.000 0.000
Sn 0.500 0.500 0.000
Li 0.258 0.258 0.000
Li 0.742 0.742 0.000

No. 2
VASP calculation (PBE) on a relaxed Cu13I15 crystal.

Computed properties:
Space group = Cm, No. 8
Calculated volume = 29.34 Å³/atom
Formation enthalpy at 0 K = -33 kJ/mol of atoms
Energy = -2.8538 eV per atom
Crystal system = monoclinic

Unit cell a=4.238 b=4.238 c=52.697 alpha=89.78 beta=89.78 gamma=60.24
Element x y z (fractional)
I 0.022 0.022 0.199
I 0.008 0.008 0.801
I 0.333 0.333 0.935
I 0.023 0.023 0.599
I 0.355 0.355 0.133
I 0.023 0.023 0.399
I 0.356 0.356 0.332
I 0.689 0.689 0.665
I 0.356 0.356 0.532
I 0.683 0.683 0.868
I 0.689 0.689 0.266
I 0.689 0.689 0.466
I 0.354 0.354 0.732
I 0.688 0.688 0.066
I 0.007 0.007 0.000
Cu 0.359 0.359 0.382
Cu 0.024 0.024 0.848
Cu 0.690 0.690 0.717
Cu 0.692 0.692 0.315
Cu 0.026 0.026 0.047
Cu 0.692 0.692 0.515
Cu 0.667 0.667 0.919
Cu 0.024 0.024 0.649
Cu 0.025 0.025 0.448
Cu 0.359 0.359 0.582
Cu 0.359 0.359 0.182
Cu 0.025 0.025 0.249
Cu 0.692 0.692 0.115

No. 3
VASP calculation (PBE) on a relaxed Li3NiN2 crystal.

Computed properties:
Space group = I4_1/amd, No. 141
Calculated volume = 11.31 Å³/atom
Formation enthalpy at 0 K = -21 kJ/mol of atoms
Energy = -4.7989 eV per atom
Crystal system = tetragonal

Unit cell a=7.340 b=7.138 c=10.660 alpha=90.00 beta=136.56 gamma=119.09
Element x y z (fractional)
N 0.474 0.237 0.888
N 0.000 0.263 0.902
N 0.526 0.263 0.362
N 0.000 0.737 0.902
N 0.000 0.237 0.348
N 0.526 0.763 0.415
N 0.000 0.763 0.348
N 0.474 0.737 0.835
Li 0.000 0.500 0.368
Li 0.452 0.952 0.976
Li 0.000 0.000 0.118
Li 0.548 0.048 0.524
Li 0.452 0.500 0.976
Li 0.000 0.500 0.132
Li 0.000 0.000 0.882
Li 0.452 0.452 0.726
Li 0.548 0.000 0.274
Li 0.548 0.548 0.274
Li 0.452 0.000 0.726
Li 0.548 0.500 0.524
Ni 0.000 0.000 0.645
Ni 0.000 0.500 0.895
Ni 0.000 0.500 0.605
Ni 0.000 0.000 0.355

No. 4
VASP calculation (PBE) on a relaxed DyHo3 crystal.

Computed properties:
Space group = P6_3/mmc, No. 194
Calculated volume = 31.67 Å³/atom
Formation enthalpy at 0 K = 1 kJ/mol of atoms
Energy = -4.5752 eV per atom
Crystal system = hexagonal

Unit cell a=7.197 b=7.197 c=5.649 alpha=90.00 beta=90.00 gamma=120.00
Element x y z (fractional)
Ho 0.166 0.834 0.250
Ho 0.667 0.834 0.250
Ho 0.834 0.166 0.750
Ho 0.834 0.667 0.750
Ho 0.333 0.166 0.750
Ho 0.166 0.333 0.250
Dy 0.333 0.667 0.750
Dy 0.667 0.333 0.250

No. 5
VASP calculation (PBE) on a relaxed CeSe2 crystal.

Computed properties:
Space group = Pnnn, No. 48
Calculated volume = 66.86 Å³/atom
Formation enthalpy at 0 K = -136 kJ/mol of atoms
Energy = -5.4004 eV per atom
Crystal system = orthorhombic

Unit cell a=7.609 b=13.576 c=15.533 alpha=90.00 beta=90.00 gamma=90.00
Element x y z (fractional)
Ce 0.794 0.840 0.096
Ce 0.206 0.840 0.904
Ce 0.294 0.660 0.596
Ce 0.294 0.340 0.404
Ce 0.706 0.660 0.404
Ce 0.706 0.340 0.596
Ce 0.206 0.160 0.096
Ce 0.794 0.160 0.904
Se 0.000 0.000 0.126
Se 0.500 0.220 0.500
Se 0.000 0.280 0.000
Se 0.250 0.750 0.750
Se 0.500 0.500 0.374
Se 0.000 0.000 0.874
Se 0.750 0.250 0.750
Se 0.500 0.132 0.000
Se 0.000 0.632 0.500
Se 0.000 0.720 0.000
Se 0.250 0.250 0.250
Se 0.750 0.750 0.250
Se 0.500 0.868 0.000
Se 0.000 0.368 0.500
Se 0.500 0.500 0.626
Se 0.500 0.780 0.500

No. 6
VASP calculation (PBE) on a relaxed P3IrO9 crystal.

Computed properties:
Space group = P-1, No. 2
Calculated volume = 14.31 Å³/atom
Formation enthalpy at 0 K = -217 kJ/mol of atoms
Energy = -7.1268 eV per atom
Crystal system = triclinic

Unit cell a=5.096 b=7.061 c=10.475 alpha=98.38 beta=92.42 gamma=92.53
Element x y z (fractional)
O 0.458 0.872 0.310
O 0.378 0.524 0.238
O 0.811 0.931 0.159
O 0.917 0.701 0.654
O 0.622 0.476 0.762
O 0.189 0.069 0.841
O 0.209 0.348 0.620
O 0.672 0.116 0.927
O 0.328 0.884 0.073
O 0.335 0.665 0.477
O 0.513 0.817 0.768
O 0.902 0.727 0.904
O 0.791 0.652 0.380
O 0.083 0.299 0.346
O 0.665 0.335 0.523
O 0.098 0.273 0.096
O 0.542 0.128 0.690
O 0.487 0.183 0.232
P 0.237 0.315 0.228
P 0.499 0.672 0.361
P 0.501 0.328 0.639
P 0.524 0.962 0.182
P 0.763 0.685 0.772
P 0.476 0.038 0.818
Ir 0.000 0.000 0.000
Ir 0.000 0.500 0.500

No. 7
VASP calculation (PBE) on a relaxed Ba2PrZrO6 crystal.

Computed properties:
Space group = Fm-3m, No. 225
Calculated volume = 17.49 Å³/atom
Formation enthalpy at 0 K = -315 kJ/mol of atoms
Energy = -7.5374 eV per atom
Crystal system = cubic

Unit cell a=6.278 b=6.278 c=6.278 alpha=60.00 beta=60.00 gamma=60.00
Element x y z (fractional)
Pr 0.000 0.000 0.000
O 0.263 0.737 0.263
O 0.737 0.263 0.263
O 0.737 0.737 0.263
O 0.737 0.263 0.737
O 0.263 0.263 0.737
O 0.263 0.737 0.737
Ba 0.750 0.750 0.750
Ba 0.250 0.250 0.250
Zr 0.500 0.500 0.500

No. 8
VASP calculation (PBE) on a relaxed Sr2Al3In crystal.

Computed properties:
Space group = Cm, No. 8
Calculated volume = 26.37 Å³/atom
Formation enthalpy at 0 K = -28 kJ/mol of atoms
Energy = -3.1899 eV per atom
Crystal system = monoclinic

Unit cell a=6.159 b=6.159 c=7.954 alpha=50.26 beta=50.26 gamma=47.02
Element x y z (fractional)
Al 0.846 0.846 0.084
Al 0.830 0.830 0.744
Al 0.162 0.162 0.898
Sr 0.453 0.453 0.296
Sr 0.548 0.548 0.701
In 0.160 0.160 0.277

No. 9
VASP calculation (PBE) on a relaxed MgSn2 crystal.

Computed properties:
Space group = C2/m, No. 12
Calculated volume = 25.67 Å³/atom
Formation enthalpy at 0 K = -3 kJ/mol of atoms
Energy = -3.2326 eV per atom
Crystal system = monoclinic

Unit cell a=6.738 b=6.738 c=7.302 alpha=73.44 beta=73.44 gamma=29.09
Element x y z (fractional)
Sn 0.818 0.818 0.135
Sn 0.867 0.867 0.534
Sn 0.133 0.133 0.466
Sn 0.182 0.182 0.865
Mg 0.529 0.529 0.199
Mg 0.471 0.471 0.801

No. 10
VASP calculation (PBE) on a relaxed Na2ZnBr4 crystal.

Computed properties:
Space group = Pnma, No. 62
Calculated volume = 31.53 Å³/atom
Formation enthalpy at 0 K = -156 kJ/mol of atoms
Energy = -2.8004 eV per atom
Crystal system = orthorhombic

Unit cell a=6.865 b=8.704 c=14.774 alpha=90.00 beta=90.00 gamma=90.00
Element x y z (fractional)
Br 0.263 0.250 0.062
Br 0.757 0.250 0.908
Br 0.243 0.473 0.334
Br 0.757 0.973 0.666
Br 0.743 0.527 0.166
Br 0.743 0.250 0.408
Br 0.763 0.750 0.438
Br 0.757 0.527 0.666
Br 0.737 0.750 0.938
Br 0.257 0.750 0.592
Br 0.237 0.250 0.562
Br 0.257 0.027 0.834
Br 0.743 0.973 0.166
Br 0.243 0.750 0.092
Br 0.257 0.473 0.834
Br 0.243 0.027 0.334
Na 0.000 0.000 0.000
Na 0.508 0.250 0.230
Na 0.492 0.750 0.770
Na 0.500 0.500 0.500
Na 0.992 0.250 0.730
Na 0.500 0.000 0.500
Na 0.008 0.750 0.270
Na 0.000 0.500 0.000
Zn 0.905 0.750 0.591
Zn 0.405 0.250 0.909
Zn 0.095 0.250 0.409
Zn 0.595 0.750 0.091

No. 11
VASP calculation (PBE) on a relaxed YB3O6 crystal.

Computed properties:
Space group = C2/c, No. 15
Calculated volume = 9.86 Å³/atom
Formation enthalpy at 0 K = -305 kJ/mol of atoms
Energy = -8.3641 eV per atom
Crystal system = monoclinic

Unit cell a=6.294 b=6.294 c=6.285 alpha=62.88 beta=62.88 gamma=79.01
Element x y z (fractional)
Y 0.704 0.296 0.250
Y 0.296 0.704 0.750
O 0.107 0.291 0.004
O 0.712 0.498 0.793
O 0.893 0.709 0.996
O 0.291 0.107 0.504
O 0.912 0.291 0.504
O 0.498 0.712 0.293
O 0.288 0.502 0.207
O 0.502 0.288 0.707
O 0.709 0.893 0.496
O 0.709 0.088 0.996
O 0.291 0.912 0.004
O 0.088 0.709 0.496
B 0.160 0.288 0.414
B 0.840 0.712 0.586
B 0.712 0.840 0.086
B 0.283 0.717 0.250
B 0.288 0.160 0.914
B 0.717 0.283 0.750

No. 12
VASP calculation (PBE) on a relaxed MgZn crystal.

Computed properties:
Space group = P3m1, No. 156
Calculated volume = 19.08 Å³/atom
Formation enthalpy at 0 K = 0 kJ/mol of atoms
Energy = -1.4277 eV per atom
Crystal system = trigonal

Unit cell a=3.167 b=3.167 c=13.178 alpha=90.00 beta=90.00 gamma=120.00
Element x y z (fractional)
Zn 0.333 0.667 0.172
Zn 0.333 0.667 0.843
Zn 0.000 0.000 0.317
Mg 0.000 0.000 0.009
Mg 0.333 0.667 0.483
Mg 0.000 0.000 0.677